No. 1
The following is a PBE+U calculation of FeAs2O7 after structural relaxation, from Materials Project.

Structure (CIF):
```
data_FeAs2O7
_cell_length_a 6.815
_cell_length_b 8.222
_cell_length_c 4.836
_cell_angle_alpha 90.00
_cell_angle_beta 103.13
_cell_angle_gamma 90.00
_space_group_name_H-M_alt 'C 1 2 1'
_space_group_IT_number 5
loop_
_space_group_symop_operation_xyz
'x,y,z'
'-x,y,-z'
'x+1/2,y+1/2,z'
'-x+1/2,y+1/2,-z'
loop_
_atom_site_label
_atom_site_fract_x
_atom_site_fract_y
_atom_site_fract_z
Fe1 0.000 0.000 0.000
As1 0.211 0.650 0.408
O1 0.000 0.554 0.500
O2 0.111 0.176 0.282
O3 0.145 0.837 0.273
O4 0.241 0.011 0.834
```

Results
Its energy above the most stable polymorph in this dataset is 0 meV per atom. As for the MP2020-corrected energy: -6.71 eV/atom. For the formation energy, the calculation gives -1.47 eV/atom. The raw total energy comes out at -6.00 eV per atom.

***

No. 2
The following is a PBE+U calculation of FeH10S2N4O8 after structural relaxation, from Materials Project.

Structure (CIF):
```
data_FeH10S2N4O8
_cell_length_a 5.415
_cell_length_b 5.954
_cell_length_c 7.567
_cell_angle_alpha 91.33
_cell_angle_beta 105.16
_cell_angle_gamma 99.70
_space_group_name_H-M_alt 'P -1'
_space_group_IT_number 2
loop_
_space_group_symop_operation_xyz
'x,y,z'
'-x,-y,-z'
loop_
_atom_site_label
_atom_site_fract_x
_atom_site_fract_y
_atom_site_fract_z
Fe1 0.000 0.000 0.000
H1 0.109 0.274 0.733
H2 0.128 0.939 0.367
H3 0.193 0.537 0.186
H4 0.271 0.603 0.418
H5 0.427 0.767 0.283
S1 0.368 0.762 0.779
N1 0.064 0.821 0.256
N2 0.250 0.668 0.288
O1 0.182 0.741 0.896
O2 0.301 0.552 0.651
O3 0.351 0.967 0.672
O4 0.361 0.227 0.100
```

Results
Its energy above the most stable polymorph in this dataset is 0 meV per atom. As for the MP2020-corrected energy: -5.97 eV/atom. For the formation energy, the calculation gives -1.02 eV/atom. The raw total energy comes out at -5.66 eV per atom.

***

No. 3
The following is a PBE+U calculation of Na5LiFe2P2C2O14 after structural relaxation, from Materials Project.

Structure (CIF):
```
data_Na5LiFe2P2C2O14
_cell_length_a 6.743
_cell_length_b 8.916
_cell_length_c 10.366
_cell_angle_alpha 88.90
_cell_angle_beta 89.94
_cell_angle_gamma 89.62
_space_group_name_H-M_alt 'P 1'
_space_group_IT_number 1
loop_
_space_group_symop_operation_xyz
'x,y,z'
loop_
_atom_site_label
_atom_site_fract_x
_atom_site_fract_y
_atom_site_fract_z
Na1 0.000 0.000 0.000
Na2 0.002 0.474 0.752
Na3 0.006 0.476 0.249
Na4 0.250 0.656 0.495
Na5 0.256 0.657 0.992
Na6 0.497 0.477 0.249
Na7 0.498 0.474 0.752
Na8 0.503 0.002 0.500
Na9 0.743 0.822 0.251
Na10 0.996 0.001 0.498
Li1 0.528 0.020 0.987
Li2 0.744 0.834 0.751
Fe1 0.253 0.093 0.259
Fe2 0.255 0.086 0.767
Fe3 0.749 0.385 0.484
Fe4 0.752 0.383 0.990
P1 0.249 0.322 0.521
P2 0.259 0.323 0.022
P3 0.747 0.148 0.225
P4 0.753 0.147 0.732
C1 0.251 0.799 0.239
C2 0.252 0.796 0.739
C3 0.742 0.694 0.998
C4 0.750 0.677 0.519
O1 0.063 0.419 0.483
O2 0.069 0.411 0.979
O3 0.247 0.170 0.454
O4 0.249 0.652 0.729
O5 0.249 0.655 0.228
O6 0.249 0.858 0.851
O7 0.250 0.861 0.352
O8 0.251 0.297 0.671
O9 0.254 0.303 0.173
O10 0.254 0.887 0.137
O11 0.257 0.883 0.636
O12 0.274 0.165 0.962
O13 0.434 0.418 0.481
O14 0.437 0.424 0.984
O15 0.568 0.056 0.275
O16 0.574 0.046 0.776
O17 0.723 0.835 0.025
O18 0.731 0.168 0.074
O19 0.745 0.174 0.583
O20 0.748 0.579 0.614
O21 0.748 0.629 0.401
O22 0.750 0.650 0.880
O23 0.751 0.300 0.801
O24 0.753 0.307 0.285
O25 0.753 0.593 0.093
O26 0.753 0.819 0.544
O27 0.935 0.054 0.259
O28 0.940 0.051 0.767
```

Results
Its energy above the most stable polymorph in this dataset is 4 meV per atom. As for the MP2020-corrected energy: -7.05 eV/atom. For the formation energy, the calculation gives -2.28 eV/atom. The raw total energy comes out at -6.51 eV per atom.

***

- What is the raw total energy in the third record?
  -6.51 eV per atom

***

- Look up the raw total energy of the third one.
  -6.51 eV per atom